Arrangement A

13
Lattice="0.0000 0.0000 4.6629 -4.2569 4.2569 2.3314 -4.2569 -4.2569 2.3314" Properties=species:S:1:pos:R:3 comment="SmFe12, optimized geometry, DFT PBE" vol_a3_per_atom=12.999 pbc="T T T"
Fe -4.2569 1.2023 2.3314
Fe -6.5398 0.0000 6.9943
Fe -2.1284 -2.1284 3.4972
Fe -4.2569 -2.2830 4.6629
Fe -1.9739 0.0000 2.3314
Fe -4.2569 2.2830 4.6629
Fe -2.1284 2.1284 1.1657
Fe -4.2569 -1.2023 2.3314
Fe -2.1284 -2.1284 1.1657
Fe -2.1284 2.1284 3.4972
Fe -5.4592 0.0000 4.6629
Fe -3.0545 0.0000 4.6629
Sm 0.0000 0.0000 0.0000


Arrangement B

13
Lattice="-0.2841 -2.1161 6.3817 -1.4910 5.2417 -3.9480 -4.8939 -4.0132 -2.2868" Properties=species:S:1:pos:R:3 comment="SmFe12, optimized geometry, DFT PBE" vol_a3_per_atom=13.548 pbc="T T T"
Fe -4.0511 0.7795 -3.9558
Fe -2.6028 -1.1032 -0.4817
Fe -4.0662 0.2155 0.6286
Fe -2.3339 0.4491 -2.2790
Fe -0.5558 -0.4599 4.0565
Fe -4.5459 -0.9879 -2.0470
Fe -3.2853 -3.8889 2.5981
Fe -4.2579 -2.7435 0.4178
Fe -1.2194 3.5855 -1.6228
Fe -2.1231 0.1003 2.1940
Fe -1.8927 -2.2404 1.4968
Fe -2.4111 1.8559 -0.2708
Sm 0.0000 0.0000 0.0000


Least stable = arrangement B


Arrangement A

16
Lattice="-1.3324 -3.4561 0.9241 1.1860 -1.6666 -4.5232 10.4234 -2.9928 3.8358" Properties=species:S:1:pos:R:3 comment="GaNi4Ge3, optimized geometry, DFT PBE" vol_a3_per_atom=13.625 pbc="T T T"
Ni 0.4225 -3.2064 -3.4975
Ni 3.5418 -1.4976 -0.4943
Ni 6.0033 -2.5452 -0.8635
Ni 8.3344 -3.5367 -1.2105
Ni 10.1608 -5.3395 2.5660
Ni 5.2966 -1.6793 1.3563
Ni 7.7932 -4.3438 2.8762
Ni 2.2250 -3.4081 -1.6527
Ge 7.5883 -2.6528 1.0197
Ge 9.8068 -2.9636 3.0561
Ge 4.2759 -2.3648 -2.6791
Ge 6.3600 -4.9220 -1.3527
Ge 1.4740 -1.2340 -2.4902
Ge 4.2425 -3.6509 0.3479
Ga 8.5841 -5.2352 0.6828
Ga 1.4363 -2.5198 0.5322


Arrangement B

8
Lattice="-4.0451 -2.0663 1.1838 2.1913 -4.1214 0.4963 0.8010 0.9138 4.5341" Properties=species:S:1:pos:R:3 comment="GaNi4Ge3, optimized geometry, DFT PBE" vol_a3_per_atom=12.926 pbc="T T T"
Ni 0.9267 -0.9780 4.2443
Ni -0.6755 -3.3835 3.9867
Ni 0.5405 -4.1679 1.4716
Ni -2.8963 -2.0124 2.7187
Ge -1.6198 -1.2456 4.6736
Ge -1.8444 -4.2904 2.0515
Ge 1.7190 -3.2060 3.5756
Ga -0.3617 -1.8117 2.1347


Least stable = arrangement B


Arrangement A

65
Lattice="-4.5200 6.9148 2.9551 -7.4977 -5.3706 1.0132 2.7209 -1.9839 8.6814" Properties=species:S:1:pos:R:3 comment="Na6Ga5Si7H15O32, optimized geometry, DFT PBE" vol_a3_per_atom=11.661 pbc="T T T"
O -5.1324 3.2902 8.8957
O -8.9960 -1.2200 5.7555
O -3.3323 2.5906 3.0515
O -6.3995 -2.3394 9.9298
O -3.8945 4.1743 6.3567
O -6.0347 -0.3122 8.3568
O -7.1265 -3.4907 7.2624
O -3.7533 -2.6464 9.9449
O -4.2297 0.4217 1.8427
O -8.0245 -1.8633 3.1231
O -0.9615 1.1683 4.1032
O 0.1168 -0.7808 5.4990
O -1.6462 2.8721 7.7039
O -5.7711 -4.5084 5.1831
O -6.7887 3.2191 4.4651
O -8.5491 0.3944 8.0968
O -2.8981 0.7372 10.4149
O -1.7811 -3.1751 8.3178
O -0.6824 0.5482 8.9807
O -5.1544 -4.8632 8.7281
O -4.4204 -2.2317 2.1100
O -5.3627 -1.4135 5.0339
O -3.2120 -4.2324 6.2214
O -8.2524 2.4911 6.4932
O -2.9739 -0.6765 6.8918
O -9.9974 1.0283 4.4107
O -1.3879 -0.2946 1.6952
O -2.5439 3.3695 10.2751
O -5.8347 1.2579 10.4696
O -4.6442 1.9111 5.2485
O -2.2993 -2.2428 3.8562
O -7.6609 0.7815 3.1875
Ga -1.5021 2.6975 3.3682
Ga -7.1406 2.5242 2.7732
Ga -0.6977 -2.1931 4.7299
Ga -6.7630 -4.2316 8.9566
Ga -9.4816 -1.1376 7.6040
Na -4.6636 -2.2377 7.0752
Na -3.4244 -0.3652 4.7113
Na -3.5060 1.2201 7.8888
Na -6.7794 0.1516 5.4658
Na -4.6449 5.1345 3.8992
Na -8.7376 0.1977 11.3645
H -5.8487 0.2804 9.1433
H -1.8052 3.1169 8.6482
H -9.9551 1.7675 5.0648
H -2.0914 -0.7872 7.2805
H -9.4125 -0.4178 5.3117
H -4.0918 2.0706 4.4039
H -2.7047 2.3733 10.2899
H -3.4328 3.7510 10.0982
H -4.1368 3.2626 5.9937
H -1.1625 0.1303 2.5396
H -5.7176 -2.0492 4.3970
H -7.0132 -0.0894 8.2150
H -6.2950 -1.5805 9.2464
H -9.1039 1.0167 3.9382
H -5.5119 2.3635 4.9793
Si -1.7487 -4.1381 6.9969
Si -7.1774 -4.5839 6.0723
Si -2.1425 -2.9125 9.8920
Si -1.3476 0.0546 10.3437
Si -4.2059 -4.8842 5.0645
Si -7.7743 -0.5795 2.2161
Si -3.1570 -3.0548 2.7585


Arrangement B

65
Lattice="-3.9993 7.5730 -2.3531 -7.8514 -3.1081 3.8776 2.6618 3.7218 8.1467" Properties=species:S:1:pos:R:3 comment="Na6Ga5Si7H15O32, optimized geometry, DFT PBE" vol_a3_per_atom=11.859 pbc="T T T"
O -6.4222 4.7260 9.0189
O -6.0562 5.3251 6.4464
O -5.2681 2.0097 9.6454
O -4.4159 5.1439 2.5835
O -9.0738 3.1988 4.8442
O -5.5433 7.8990 6.9883
O -7.5838 3.1213 1.5702
O -8.0048 1.1092 3.2917
O 0.1207 2.8318 4.7569
O -4.0610 1.6928 0.9164
O -2.6988 7.2478 7.5097
O -4.4924 -0.1136 2.8277
O -0.8408 3.5471 2.3962
O -7.3729 2.2569 7.6790
O -6.4882 5.7785 1.0235
O -6.0070 0.1940 6.6541
O -8.0136 6.6334 3.0064
O -3.7722 4.4792 9.2824
O -4.8167 8.5342 4.5213
O -8.4822 5.8931 5.4834
O -3.6099 7.5848 1.9114
O -3.0726 4.1149 0.5291
O -2.2392 9.2821 5.7461
O -9.8582 4.2099 2.4343
O -2.8831 3.8331 5.6635
O -1.9503 2.8005 8.4381
O -3.4205 0.7284 7.4153
O -1.0508 0.8789 1.0055
O -0.5554 6.0785 6.5574
O -1.6252 7.2907 3.9729
O -2.3465 0.7962 4.1717
O -5.3952 2.4244 4.5523
H -6.9874 5.4859 6.1180
H -3.8775 4.6870 1.8569
H -3.8671 6.6779 2.2833
H -5.2630 5.3599 2.0863
H -9.4067 3.5439 3.9605
H -9.0309 3.8379 1.9938
H -1.5806 8.1110 4.5172
H -5.7715 6.2688 6.6320
H -1.1186 1.6318 1.6079
H -3.1211 9.4026 5.3228
H -5.8446 1.5732 4.4290
H -2.3710 8.4871 6.3378
H -6.3676 4.8975 8.0228
H -9.7130 5.1779 2.4991
H -2.0127 3.9676 6.0722
Si -7.4567 0.6846 7.3348
Si -3.3278 -0.4618 3.9204
Si -4.5082 -0.3674 6.8488
Si -1.9596 1.2227 8.0181
Si -7.7424 1.4674 1.7588
Si -2.2153 4.0551 9.4434
Si -1.2087 6.5868 7.9272
Ga -6.8677 2.6567 9.4425
Ga -1.2475 4.3312 0.8339
Ga -6.9127 4.1565 0.1695
Ga -0.8342 1.3398 5.0630
Ga -9.5691 4.5450 6.1031
Na -4.3917 6.7229 -0.2742
Na -4.7667 2.9545 6.7050
Na -3.0635 6.0035 5.2340
Na -5.0829 0.7515 11.3534
Na -3.3903 2.8773 3.7111
Na -6.7279 3.9794 3.8811


Least stable = arrangement A


Arrangement A

7
Lattice="7.6896 -0.1364 0.5525 2.4639 1.0629 7.2286 -5.1994 -4.6910 -3.2271" Properties=species:S:1:pos:R:3 comment="Ga2HgTe4, optimized geometry, DFT PBE" vol_a3_per_atom=33.583 pbc="T T T"
Hg 0.0000 0.0000 0.0000
Ga 1.1706 -1.5824 3.9460
Ga 3.7835 -2.1821 0.6080
Te 3.7608 -1.5143 3.2158
Te 5.1876 0.8425 6.3281
Te -1.3305 -2.4805 -0.5958
Te 7.4896 0.3142 3.3872


Arrangement B

28
Lattice="-1.2738 -4.6594 5.7793 6.1542 4.2090 4.7281 -9.4264 10.5532 2.8771" Properties=species:S:1:pos:R:3 comment="Ga2HgTe4, optimized geometry, DFT PBE" vol_a3_per_atom=33.676 pbc="T T T"
Hg -1.2397 -4.6075 5.7575
Hg -0.1971 1.2302 7.7010
Hg -4.3028 8.9751 5.7331
Hg 0.7634 7.1197 9.0852
Te -5.1274 0.7221 6.1642
Te -5.1680 7.8896 3.3472
Te -8.1722 7.3021 8.7963
Te -4.1214 6.6903 7.6385
Te -0.9966 0.3864 4.8869
Te 0.1609 6.2333 6.4072
Te -7.2817 4.9160 5.1236
Te -6.2802 10.7872 6.8551
Te 4.0501 5.8973 5.6988
Te 2.2486 2.6586 7.2135
Te 1.3721 3.5414 3.3445
Te -2.3598 2.9754 8.3507
Te -1.7572 10.2551 6.0914
Te -2.9188 12.4119 9.2108
Te -5.4343 9.0794 10.8727
Te -2.8973 4.3716 4.1844
Ga 2.7756 3.2495 9.7386
Ga -1.4058 3.8096 10.6904
Ga -3.3099 7.6013 10.1200
Ga -2.1876 5.0265 6.6747
Ga -1.0343 2.6514 3.2489
Ga -6.6542 5.3646 7.7183
Ga -8.4686 9.1864 6.9190
Ga -5.3987 11.3201 9.3801


Least stable = arrangement B


Arrangement A

16
Lattice="2.9293 7.8323 1.8834 -7.3193 -2.7900 3.4808 3.3299 -2.4558 5.0336" Properties=species:S:1:pos:R:3 comment="Ho5Ga3, optimized geometry, DFT PBE" vol_a3_per_atom=25.912 pbc="T T T"
Ga -0.4598 -2.9691 5.1816
Ga 3.6810 1.3227 4.5361
Ga 2.5782 4.0538 2.3808
Ga -3.5295 -2.2767 3.3328
Ga -0.9413 1.4233 3.4258
Ga -0.1189 1.1631 6.9721
Ho -0.9325 -1.2867 2.0978
Ho 4.7203 4.1017 5.2044
Ho -2.4989 3.2124 5.3291
Ho 1.4388 -0.6259 5.0687
Ho 1.5388 1.2747 1.7126
Ho 1.1780 3.0636 4.9327
Ho -3.9031 0.7508 2.9484
Ho -2.2382 -0.4771 5.4651
Ho -0.4869 4.2915 2.4159
Ho -3.0569 -3.9591 6.4166


Arrangement B

32
Lattice="-2.4193 -2.3932 -6.7921 4.4004 -6.1632 0.6042 -10.5572 -6.9295 6.2020" Properties=species:S:1:pos:R:3 comment="Ho5Ga3, optimized geometry, DFT PBE" vol_a3_per_atom=25.374 pbc="T T T"
Ho -5.8475 -8.3640 5.0298
Ho -10.7583 -9.1958 0.0677
Ho -6.2184 -11.8041 4.8814
Ho -3.9104 -4.1787 1.3725
Ho -8.9977 -6.3085 1.1791
Ho 0.5228 -7.7927 -4.5572
Ho -7.6102 -7.2596 -1.8481
Ho -2.5091 -9.8917 -2.6254
Ho -0.5689 -4.8992 1.9289
Ho -8.8683 -9.0285 3.4718
Ho 1.0521 -5.5668 -1.1692
Ho -4.3758 -6.3413 -1.8360
Ho -2.0437 -7.7291 0.5831
Ho -3.7191 -2.8437 -1.9219
Ho -8.1084 -11.9714 1.4772
Ho -3.1225 -9.6419 3.1290
Ho -0.6983 -2.1792 -0.3639
Ho -5.0765 -9.8724 -0.4545
Ho -5.6562 -7.0291 1.7355
Ho -1.2276 -4.4051 -3.7518
Ga -6.1801 -12.7030 -0.7767
Ga -6.5303 -4.6890 -0.2704
Ga -3.0363 -6.5188 3.3783
Ga -1.8920 -4.9600 -0.7837
Ga -7.6746 -6.2477 3.8917
Ga 0.9237 -7.4327 1.2465
Ga -6.0900 -9.9382 2.4656
Ga -4.2213 -4.5884 -4.3335
Ga -7.7647 -9.0125 0.6494
Ga -1.4055 -7.0611 -2.3033
Ga -1.2517 -1.2242 -3.3713
Ga -8.3149 -9.9835 6.4793


Least stable = arrangement A


Arrangement A

32
Lattice="5.8786 0.0000 0.0000 0.0000 5.8786 0.0000 0.0000 0.0000 14.4239" Properties=species:S:1:pos:R:3 comment="Ga5Ir3, optimized geometry, DFT PBE" vol_a3_per_atom=15.577 pbc="T T T"
Ir 2.9393 0.0000 10.8179
Ir 0.0000 0.0000 0.0000
Ir 0.0000 2.9393 8.4568
Ir 2.9393 0.0000 5.9670
Ir 2.9393 2.9393 2.4715
Ir 0.0000 0.0000 9.6834
Ir 2.9393 2.9393 7.2119
Ir 0.0000 2.9393 13.1789
Ir 2.9393 0.0000 1.2449
Ir 0.0000 2.9393 3.6060
Ir 0.0000 0.0000 4.7405
Ir 2.9393 2.9393 11.9524
Ga 1.9353 1.0040 3.6060
Ga 1.7840 3.8664 5.0298
Ga 3.9433 4.8745 3.6060
Ga 0.8857 1.5854 6.4669
Ga 4.9514 1.1553 2.1821
Ga 1.3539 2.0536 0.7450
Ga 3.8664 4.0945 9.3941
Ga 4.2932 0.8857 7.9569
Ga 4.9929 4.2932 6.4669
Ga 4.8745 1.9353 10.8179
Ga 4.7233 4.9514 12.2417
Ga 1.1553 0.9272 12.2417
Ga 1.5854 4.9929 7.9569
Ga 3.8250 1.3539 13.6789
Ga 1.0040 3.9433 10.8179
Ga 4.5246 3.8250 0.7450
Ga 0.9272 4.7233 2.1821
Ga 4.0945 2.0121 5.0298
Ga 2.0121 1.7840 9.3941
Ga 2.0536 4.5246 13.6789


Arrangement B

32
Lattice="5.8759 0.0000 0.0000 0.0000 5.8759 0.0000 0.0000 0.0000 15.1606" Properties=species:S:1:pos:R:3 comment="Ga5Ir3, optimized geometry, DFT PBE" vol_a3_per_atom=16.357 pbc="T T T"
Ir 2.9380 2.9380 2.6687
Ir 2.9380 0.0000 11.3704
Ir 0.0000 2.9380 6.6631
Ir 2.9380 0.0000 14.2434
Ir 0.0000 0.0000 4.9116
Ir 0.0000 0.0000 0.0000
Ir 0.0000 0.0000 10.2490
Ir 2.9380 2.9380 7.5803
Ir 2.9380 2.9380 12.4919
Ir 0.0000 2.9380 3.7901
Ir 0.0000 2.9380 0.9172
Ir 2.9380 0.0000 8.4975
Ga 3.9496 1.8405 9.9050
Ga 4.8643 4.7784 2.3247
Ga 1.0116 1.0975 2.3247
Ga 4.0354 3.9496 5.2556
Ga 4.0140 1.0761 3.7901
Ga 1.0975 4.8643 12.8358
Ga 0.9261 1.5188 8.4483
Ga 1.8405 1.9263 5.2556
Ga 3.8641 1.4191 0.8681
Ga 4.9498 4.3571 8.4483
Ga 2.0119 4.4568 0.8681
Ga 1.4191 2.0119 14.2925
Ga 1.5188 4.9498 6.7122
Ga 1.8619 4.7998 3.7901
Ga 4.7784 1.0116 12.8358
Ga 4.7998 4.0140 11.3704
Ga 1.0761 1.8619 11.3704
Ga 4.3571 0.9261 6.7122
Ga 1.9263 4.0354 9.9050
Ga 4.4568 3.8641 14.2925


Least stable = arrangement B